CoSbP2O8 (PBE with a Hubbard U, optimized geometry); M_tot = 0.2495 μB/atom; formation enthalpy at 0 K = -2184 meV/atom; SG = P1, No. 1; excess energy over the best structure of this formula in the dataset = 53 meV per atom
1.0
0.004 6.067 0.001
0.113 0.002 10.199
10.085 0.005 -4.975
P O Co Sb
8 32 4 4
Direct
0.751 0.263 0.904 P
0.750 0.743 0.912 P
0.250 0.357 0.599 P
0.249 0.853 0.596 P
0.750 0.147 0.405 P
0.250 0.252 0.087 P
0.249 0.740 0.096 P
0.750 0.643 0.400 P
0.257 0.729 0.636 O
0.250 0.213 0.608 O
0.452 0.216 0.154 O
0.956 0.541 0.322 O
0.248 0.166 0.939 O
0.458 0.455 0.676 O
0.251 0.419 0.117 O
0.950 0.040 0.349 O
0.055 0.701 0.175 O
0.251 0.899 0.125 O
0.551 0.039 0.349 O
0.948 0.778 0.841 O
0.444 0.700 0.175 O
0.752 0.365 0.049 O
0.751 0.576 0.881 O
0.945 0.298 0.823 O
0.251 0.341 0.459 O
0.542 0.542 0.325 O
0.041 0.455 0.675 O
0.248 0.640 0.950 O
0.750 0.273 0.369 O
0.556 0.300 0.825 O
0.246 0.793 0.440 O
0.753 0.662 0.541 O
0.755 0.828 0.060 O
0.446 0.963 0.648 O
0.549 0.779 0.845 O
0.750 0.104 0.877 O
0.749 0.202 0.561 O
0.046 0.957 0.653 O
0.748 0.784 0.387 O
0.050 0.217 0.156 O
0.250 0.698 0.802 Co
0.750 0.840 0.240 Co
0.253 0.167 0.763 Co
0.750 0.318 0.206 Co
0.750 0.387 0.724 Sb
0.250 0.611 0.273 Sb
0.747 0.882 0.718 Sb
0.250 0.121 0.283 Sb



La2MnCoO6 (PBE with a Hubbard U, optimized geometry); M_tot = 0.0040 μB/atom; formation enthalpy at 0 K = -3227 meV/atom; SG = P2_1/c, No. 14
1.0
-4.976 -1.398 -2.028
-1.564 -1.772 5.058
-4.274 5.436 6.737
Co O La Mn
2 12 4 2
Direct
0.500 0.500 0.500 Co
0.000 0.500 0.000 Co
0.778 0.750 0.040 O
0.722 0.750 0.540 O
0.011 0.833 0.742 O
0.290 0.686 0.040 O
0.210 0.686 0.540 O
0.489 0.833 0.242 O
0.710 0.314 0.960 O
0.790 0.314 0.460 O
0.278 0.250 0.460 O
0.989 0.167 0.258 O
0.511 0.167 0.758 O
0.222 0.250 0.960 O
0.968 0.258 0.749 La
0.032 0.742 0.251 La
0.532 0.258 0.249 La
0.468 0.742 0.751 La
0.000 0.000 0.500 Mn
0.500 0.000 0.000 Mn



Li9Mn2Co5O16 (PBE with a Hubbard U, optimized geometry); M_tot = 0.3125 μB/atom; formation enthalpy at 0 K = -1833 meV/atom; SG = P-1, No. 2; excess energy over the best structure of this formula in the dataset = 31 meV per atom
1.0
2.943 0.000 0.000
0.264 9.773 0.000
0.097 2.096 9.914
Li O Co Mn
9 16 5 2
Direct
0.006 0.507 0.240 Li
0.994 0.493 0.760 Li
0.503 0.750 0.624 Li
0.505 0.259 0.875 Li
0.500 0.500 0.000 Li
0.497 0.250 0.376 Li
0.000 0.000 0.500 Li
0.000 0.000 0.000 Li
0.495 0.741 0.125 Li
0.482 0.868 0.922 O
0.996 0.361 0.950 O
0.494 0.358 0.180 O
0.518 0.132 0.078 O
0.004 0.639 0.050 O
0.506 0.642 0.820 O
0.500 0.377 0.679 O
0.494 0.875 0.426 O
0.041 0.119 0.803 O
0.960 0.878 0.699 O
0.500 0.623 0.321 O
0.999 0.626 0.554 O
0.001 0.374 0.446 O
0.506 0.125 0.574 O
0.040 0.122 0.301 O
0.959 0.881 0.197 O
0.001 0.249 0.626 Co
0.999 0.751 0.374 Co
0.506 0.001 0.252 Co
0.494 0.999 0.748 Co
0.500 0.500 0.500 Co
0.995 0.744 0.880 Mn
0.005 0.256 0.120 Mn



Mn2OF3 (PBE with a Hubbard U, optimized geometry); M_tot = 1.5001 μB/atom; formation enthalpy at 0 K = -2605 meV/atom; SG = P1, No. 1; excess energy over the best structure of this formula in the dataset = 34 meV per atom
1.0
-0.536 -4.508 -1.543
3.074 -1.953 4.435
-9.969 -2.233 9.317
Mn F O
10 15 5
Direct
0.503 0.499 0.999 Mn
0.486 0.696 0.402 Mn
0.466 0.099 0.214 Mn
0.966 0.601 0.186 Mn
0.985 0.805 0.603 Mn
0.000 0.001 0.000 Mn
0.542 0.289 0.591 Mn
0.998 0.200 0.400 Mn
0.038 0.398 0.812 Mn
0.520 0.908 0.791 Mn
0.293 0.616 0.545 F
0.315 0.431 0.138 F
0.301 0.818 0.930 F
0.686 0.775 0.265 F
0.701 0.183 0.070 F
0.321 0.233 0.728 F
0.815 0.486 0.669 F
0.191 0.923 0.135 F
0.181 0.116 0.540 F
0.811 0.272 0.262 F
0.195 0.729 0.739 F
0.191 0.515 0.331 F
0.812 0.079 0.864 F
0.688 0.573 0.860 F
0.797 0.882 0.464 F
0.698 0.392 0.456 O
0.709 0.978 0.657 O
0.205 0.299 0.949 O
0.286 0.005 0.351 O
0.799 0.701 0.049 O



VCuO3 (PBE with a Hubbard U, optimized geometry); M_tot = 0.0000 μB/atom; formation enthalpy at 0 K = -1796 meV/atom; SG = Cm, No. 8
1.0
1.592 1.737 2.160
-4.214 2.457 1.130
0.160 -5.493 1.930
O V Cu
3 1 1
Direct
0.576 0.091 0.805 O
0.833 0.148 0.318 O
0.272 0.549 0.195 O
0.735 0.337 0.123 V
0.393 0.990 0.437 Cu



Ca2FeP2O12 (PBE with a Hubbard U, optimized geometry); M_tot = 0.4706 μB/atom; formation enthalpy at 0 K = -1979 meV/atom; SG = P-1, No. 2
1.0
-1.025 5.417 -1.795
-4.909 1.853 3.309
5.712 0.714 3.874
O Fe P Ca
12 1 2 2
Direct
0.992 0.673 0.880 O
0.108 0.683 0.369 O
0.672 0.701 0.562 O
0.008 0.327 0.120 O
0.216 0.972 0.835 O
0.422 0.418 0.147 O
0.729 0.077 0.832 O
0.328 0.299 0.438 O
0.271 0.923 0.168 O
0.784 0.028 0.165 O
0.892 0.317 0.631 O
0.578 0.582 0.853 O
0.000 0.000 0.000 Fe
0.231 0.430 0.275 P
0.769 0.570 0.725 P
0.680 0.699 0.228 Ca
0.320 0.301 0.772 Ca



MoSO6 (PBE with a Hubbard U, optimized geometry); M_tot = 0.0000 μB/atom; formation enthalpy at 0 K = -1791 meV/atom; SG = Pna2_1, No. 33; excess energy over the best structure of this formula in the dataset = 7 meV per atom
1.0
8.800 0.000 0.000
0.000 12.376 0.000
0.000 0.000 25.445
S O Mo
24 144 24
Direct
0.093 0.738 0.367 S
0.634 0.503 0.632 S
0.880 0.227 0.977 S
0.380 0.727 0.523 S
0.120 0.727 0.023 S
0.862 0.237 0.294 S
0.384 0.989 0.037 S
0.620 0.227 0.477 S
0.884 0.489 0.463 S
0.907 0.238 0.633 S
0.407 0.738 0.867 S
0.116 0.989 0.537 S
0.097 0.997 0.191 S
0.616 0.489 0.963 S
0.638 0.237 0.794 S
0.134 0.003 0.868 S
0.362 0.737 0.206 S
0.138 0.737 0.706 S
0.366 0.003 0.368 S
0.866 0.503 0.132 S
0.593 0.238 0.133 S
0.597 0.497 0.309 S
0.903 0.497 0.809 S
0.403 0.997 0.691 S
0.093 0.245 0.783 O
0.753 0.536 0.825 O
0.133 0.752 0.079 O
0.979 0.083 0.179 O
0.087 0.962 0.245 O
0.349 0.461 0.550 O
0.505 0.728 0.075 O
0.503 0.644 0.514 O
0.010 0.085 0.860 O
0.747 0.536 0.325 O
0.769 0.535 0.662 O
0.418 0.836 0.178 O
0.655 0.767 0.300 O
0.998 0.004 0.745 O
0.002 0.504 0.255 O
0.495 0.228 0.925 O
0.429 0.901 0.345 O
0.571 0.325 0.507 O
0.155 0.267 0.200 O
0.165 0.990 0.924 O
0.945 0.476 0.411 O
0.819 0.768 0.117 O
0.686 0.962 0.165 O
0.593 0.745 0.717 O
0.082 0.836 0.678 O
0.148 0.757 0.763 O
0.995 0.728 0.575 O
0.269 0.035 0.838 O
0.069 0.837 0.333 O
0.521 0.083 0.679 O
0.555 0.476 0.911 O
0.931 0.337 0.667 O
0.867 0.252 0.921 O
0.569 0.337 0.167 O
0.008 0.651 0.338 O
0.220 0.010 0.036 O
0.604 0.977 0.554 O
0.947 0.005 0.394 O
0.582 0.336 0.822 O
0.525 0.254 0.081 O
0.633 0.252 0.421 O
0.083 0.890 0.504 O
0.913 0.462 0.755 O
0.216 0.705 0.184 O
0.181 0.268 0.883 O
0.280 0.010 0.536 O
0.021 0.583 0.821 O
0.244 0.714 0.869 O
0.057 0.903 0.155 O
0.967 0.578 0.492 O
0.648 0.257 0.737 O
0.980 0.150 0.305 O
0.737 0.188 0.000 O
0.003 0.144 0.986 O
0.917 0.390 0.496 O
0.055 0.976 0.589 O
0.571 0.401 0.655 O
0.814 0.962 0.665 O
0.263 0.688 0.000 O
0.803 0.963 0.304 O
0.447 0.505 0.106 O
0.407 0.245 0.283 O
0.492 0.651 0.838 O
0.907 0.745 0.217 O
0.510 0.585 0.640 O
0.975 0.254 0.581 O
0.508 0.151 0.162 O
0.490 0.085 0.360 O
0.744 0.214 0.631 O
0.247 0.036 0.175 O
0.557 0.403 0.345 O
0.314 0.462 0.835 O
0.943 0.403 0.845 O
0.345 0.267 0.700 O
0.480 0.650 0.195 O
0.587 0.462 0.255 O
0.502 0.004 0.245 O
0.237 0.688 0.500 O
0.720 0.510 0.464 O
0.201 0.273 0.502 O
0.845 0.767 0.800 O
0.665 0.490 0.576 O
0.577 0.727 0.399 O
0.799 0.773 0.498 O
0.479 0.583 0.321 O
0.852 0.257 0.237 O
0.319 0.268 0.383 O
0.583 0.390 0.996 O
0.651 0.961 0.450 O
0.005 0.228 0.425 O
0.186 0.462 0.335 O
0.731 0.535 0.162 O
0.445 0.976 0.089 O
0.533 0.578 0.992 O
0.553 0.005 0.894 O
0.429 0.825 0.493 O
0.835 0.490 0.076 O
0.520 0.150 0.805 O
0.701 0.773 0.998 O
0.467 0.078 0.008 O
0.784 0.205 0.816 O
0.431 0.837 0.833 O
0.423 0.227 0.601 O
0.396 0.477 0.446 O
0.929 0.325 0.007 O
0.367 0.752 0.579 O
0.443 0.903 0.655 O
0.352 0.757 0.263 O
0.716 0.205 0.316 O
0.780 0.510 0.964 O
0.020 0.650 0.695 O
0.253 0.036 0.675 O
0.681 0.768 0.617 O
0.413 0.962 0.745 O
0.104 0.477 0.946 O
0.990 0.585 0.140 O
0.025 0.754 0.419 O
0.498 0.504 0.755 O
0.475 0.754 0.919 O
0.697 0.963 0.804 O
0.053 0.505 0.606 O
0.231 0.035 0.338 O
0.284 0.705 0.684 O
0.923 0.727 0.899 O
0.335 0.990 0.424 O
0.763 0.188 0.500 O
0.849 0.961 0.950 O
0.896 0.977 0.054 O
0.299 0.273 0.002 O
0.071 0.825 0.993 O
0.417 0.890 0.004 O
0.256 0.714 0.369 O
0.997 0.644 0.014 O
0.197 0.463 0.696 O
0.033 0.078 0.508 O
0.071 0.901 0.845 O
0.497 0.144 0.486 O
0.918 0.336 0.322 O
0.151 0.461 0.050 O
0.929 0.401 0.155 O
0.303 0.463 0.196 O
0.992 0.151 0.662 O
0.756 0.214 0.131 O
0.077 0.227 0.101 O
0.516 0.739 0.008 Mo
0.020 0.490 0.672 Mo
0.501 0.990 0.179 Mo
0.523 0.749 0.654 Mo
0.480 0.490 0.172 Mo
0.999 0.990 0.679 Mo
0.490 0.479 0.505 Mo
0.023 0.249 0.846 Mo
0.000 0.245 0.162 Mo
0.000 0.745 0.838 Mo
0.500 0.745 0.338 Mo
0.980 0.990 0.328 Mo
0.001 0.490 0.321 Mo
0.016 0.239 0.492 Mo
0.990 0.979 0.995 Mo
0.984 0.739 0.508 Mo
0.499 0.490 0.821 Mo
0.500 0.245 0.662 Mo
0.977 0.749 0.154 Mo
0.510 0.979 0.495 Mo
0.477 0.249 0.346 Mo
0.520 0.990 0.828 Mo
0.010 0.479 0.005 Mo
0.484 0.239 0.992 Mo



Li3VPCO7 (PBE with a Hubbard U, optimized geometry); M_tot = 0.2308 μB/atom; formation enthalpy at 0 K = -2414 meV/atom; SG = P2_1/c, No. 14; excess energy over the best structure of this formula in the dataset = 18 meV per atom
1.0
-2.216 -5.839 1.923
7.203 -0.606 6.458
-1.616 3.551 8.921
O Li C V P
28 12 4 4 4
Direct
0.773 0.363 0.834 O
0.442 0.561 0.680 O
0.942 0.939 0.320 O
0.434 0.081 0.687 O
0.066 0.581 0.687 O
0.754 0.806 0.579 O
0.254 0.694 0.421 O
0.211 0.964 0.076 O
0.227 0.637 0.166 O
0.721 0.097 0.409 O
0.789 0.036 0.924 O
0.934 0.419 0.313 O
0.221 0.403 0.591 O
0.558 0.439 0.320 O
0.289 0.464 0.076 O
0.058 0.061 0.680 O
0.566 0.919 0.313 O
0.711 0.536 0.924 O
0.269 0.720 0.911 O
0.769 0.780 0.089 O
0.246 0.194 0.421 O
0.731 0.280 0.089 O
0.779 0.597 0.409 O
0.746 0.306 0.579 O
0.273 0.137 0.166 O
0.231 0.220 0.911 O
0.727 0.863 0.834 O
0.279 0.903 0.591 O
0.521 0.728 0.297 Li
0.248 0.437 0.890 Li
0.235 0.428 0.371 Li
0.748 0.063 0.110 Li
0.735 0.072 0.629 Li
0.765 0.572 0.629 Li
0.979 0.228 0.297 Li
0.021 0.772 0.703 Li
0.479 0.272 0.703 Li
0.752 0.563 0.110 Li
0.252 0.937 0.890 Li
0.265 0.928 0.371 Li
0.761 0.894 0.946 C
0.239 0.106 0.054 C
0.261 0.606 0.054 C
0.739 0.394 0.946 C
0.981 0.236 0.752 V
0.019 0.764 0.248 V
0.519 0.736 0.752 V
0.481 0.264 0.248 V
0.242 0.563 0.591 P
0.758 0.437 0.409 P
0.742 0.937 0.409 P
0.258 0.063 0.591 P



VASP energy (computed, eV/f.u.): -80.72, -80.67, -186.35, -39.23, -33.25, -105.82, -51.68, -88.96